Below is an optimized crystal structure of CaFe2O4, with properties calculated at the PBE with a Hubbard U level.

a = 7.4688 Å, b = 7.4688 Å, c = 9.2044 Å
α = 118.56°, β = 118.56°, γ = 23.55°
Closest atoms and distances in Å follow each position.
Atoms (fractional coordinates):
1 Ca 0.0000 0.0000 0.0000  4 O 2.28-2.29
2 Ca 0.6940 0.6940 0.6688  5 O 2.28-2.46
3 Fe 0.1908 0.1908 0.3408  6 O 2.01-2.11
4 Fe 0.4946 0.4946 0.3272  6 O 1.98-2.12
5 Fe 0.7560 0.7560 0.0467  5 O 1.95-2.09
6 Fe 0.9307 0.9307 0.6187  5 O 1.96-2.09
7 O 0.1042 0.1042 0.4628  3 Fe 2.06-2.12, 2 Ca 2.28
8 O 0.2109 0.2109 0.1392  3 Fe 2.01
9 O 0.2364 0.2364 0.8783  2 Fe 2.09, 2 Ca 2.29
10 O 0.4563 0.4563 0.7903  2 Fe 2.09, 2 Ca 2.29
11 O 0.4670 0.4670 0.5177  3 Fe 1.98-1.99
12 O 0.5823 0.5823 0.2091  3 Fe 2.05-2.11, 2 Ca 2.28
13 O 0.7775 0.7775 0.4926  3 Fe 1.96-2.04
14 O 0.9085 0.9085 0.1763  3 Fe 1.95-2.03

Summary:
Energy above the most stable polymorph in this dataset = 121 meV per atom


Below is an optimized crystal structure of CaFe2O4, with properties calculated at the PBE with a Hubbard U level.

a = 6.2697 Å, b = 6.3211 Å, c = 15.2839 Å
α = 89.66°, β = 89.98°, γ = 60.36°
Closest atoms and distances in Å follow each position.
Atoms (fractional coordinates):
1 Ca 0.0000 0.0000 0.0000  4 O 2.18-2.26
2 Ca 0.0034 0.9927 0.3722  6 O 2.28-2.33
3 Ca 0.1784 0.6491 0.2084  6 O 2.25-2.31
4 Ca 0.5075 0.9866 0.8736  6 O 2.22-2.33
5 Ca 0.6817 0.6462 0.7099  6 O 2.27-2.34
6 Ca 0.8395 0.3206 0.5405  6 O 2.27-2.32
7 Fe 0.0179 0.4806 0.8769  6 O 1.95-2.17
8 Fe 0.0176 0.9682 0.7536  4 O 1.90-2.04
9 Fe 0.1893 0.1467 0.2057  5 O 1.97-2.14
10 Fe 0.3345 0.3340 0.6598  4 O 1.91-2.05
11 Fe 0.3415 0.8213 0.5419  6 O 2.05-2.18
12 Fe 0.3436 0.3232 0.0352  5 O 1.96-2.14
13 Fe 0.3464 0.3059 0.4201  4 O 1.90-2.04
14 Fe 0.5015 0.4799 0.8738  5 O 1.95-2.16
15 Fe 0.6624 0.6756 0.3307  4 O 1.90-2.02
16 Fe 0.6779 0.1586 0.2084  5 O 1.98-2.16
17 Fe 0.6908 0.6322 0.0828  4 O 1.94-2.13
18 Fe 0.8406 0.8200 0.5411  6 O 2.05-2.16
19 O 0.0048 0.5120 0.6172  2 Fe 1.91-2.05
20 O 0.0203 0.9628 0.6213  3 Fe 2.02-2.15
21 O 0.0345 0.4550 0.1204  3 Fe 1.96-2.13
22 O 0.1725 0.6552 0.4646  3 Fe 2.04-2.18
23 O 0.1793 0.2026 0.9566  2 Fe 1.95-1.97, 1 Ca 2.18
24 O 0.1962 0.1285 0.4636  2 Fe 1.90-2.06
25 O 0.1976 0.6118 0.9520  3 Fe 2.03-2.05, 1 Ca 2.26
26 O 0.3289 0.3410 0.7892  3 Fe 1.98-2.17
27 O 0.3401 0.8477 0.2836  2 Fe 1.90-2.02
28 O 0.3421 0.7927 0.7995  2 Fe 1.90-2.05
29 O 0.3515 0.2934 0.2871  3 Fe 2.03-2.16
30 O 0.4861 0.5137 0.6182  2 Fe 1.91-2.05
31 O 0.5048 0.0036 0.1226  4 Fe 2.13-2.22
32 O 0.5110 0.9822 0.6166  3 Fe 2.05-2.14
33 O 0.5201 0.4580 0.1197  3 Fe 1.96-2.14
34 O 0.6214 0.2054 0.9548  2 Fe 1.95-1.96, 1 Ca 2.18
35 O 0.6599 0.6810 0.4627  3 Fe 2.02-2.12
36 O 0.6744 0.1287 0.4636  2 Fe 1.91-2.06
37 O 0.6924 0.6292 0.9562  2 Fe 1.94-2.15
38 O 0.8150 0.8456 0.2827  2 Fe 1.90-2.06
39 O 0.8202 0.3395 0.2836  2 Fe 1.99-2.11
40 O 0.8456 0.3099 0.8043  3 Fe 2.04-2.17
41 O 0.8696 0.7940 0.8007  2 Fe 1.90-2.07
42 O 0.9953 0.0217 0.1463  2 Fe 1.97-1.98

Summary:
Energy above the most stable polymorph in this dataset = 107 meV per atom


Below is an optimized crystal structure of Ca2Fe2O5, with properties calculated at the PBE with a Hubbard U level.

a = 8.4237 Å, b = 8.4237 Å, c = 8.4237 Å
α = 55.91°, β = 140.51°, γ = 142.06°
Closest atoms and distances in Å follow each position.
Atoms (fractional coordinates):
1 Ca 0.0290 0.1071 0.1361  6 O 2.33-2.59
2 Ca 0.0290 0.3929 0.4219  6 O 2.33-2.59
3 Ca 0.9710 0.6071 0.5781  6 O 2.33-2.59
4 Ca 0.9710 0.8929 0.8639  6 O 2.33-2.59
5 Fe 0.4707 0.7902 0.1805  4 O 1.87-1.97
6 Fe 0.4887 0.4887 0.0000  6 O 1.97-2.14
7 Fe 0.4887 0.9887 0.5000  6 O 1.97-2.14
8 Fe 0.6096 0.2902 0.8195  4 O 1.87-1.97
9 O 0.0145 0.6457 0.8689  2 Fe 1.94-1.97
10 O 0.3877 0.1022 0.5670  1 Fe 1.87
11 O 0.3877 0.3207 0.7854  1 Fe 1.87
12 O 0.4927 0.2236 0.2381  2 Fe 1.97-2.00
13 O 0.4927 0.7546 0.7691  2 Fe 1.97-2.00
14 O 0.5353 0.6022 0.2146  1 Fe 1.87
15 O 0.5353 0.8207 0.4330  1 Fe 1.87
16 O 0.7768 0.1457 0.1311  2 Fe 1.94-1.97
17 O 0.9855 0.2546 0.7619  2 Fe 1.97-2.00
18 O 0.9855 0.7236 0.2309  2 Fe 1.97-2.00

Summary:
Energy above the most stable polymorph in this dataset = 47 meV per atom


Below is an optimized crystal structure of Ca3Fe2O7, with properties calculated at the PBE with a Hubbard U level.

a = 10.0990 Å, b = 10.0990 Å, c = 5.4333 Å
α = 90.00°, β = 90.00°, γ = 31.15°
Closest atoms and distances in Å follow each position.
Atoms (fractional coordinates):
1 Ca 0.0517 0.5758 0.5746  6 O 2.30-2.56
2 Ca 0.2432 0.7568 0.5000  8 O 2.38-2.66
3 Ca 0.4242 0.9483 0.5746  6 O 2.30-2.56
4 Ca 0.5758 0.0517 0.0746  6 O 2.30-2.56
5 Ca 0.7568 0.2432 0.0000  8 O 2.38-2.66
6 Ca 0.9483 0.4242 0.0746  6 O 2.30-2.56
7 Fe 0.1522 0.6497 0.0400  6 O 1.95-1.97
8 Fe 0.3503 0.8478 0.0400  6 O 1.95-1.97
9 Fe 0.6497 0.1522 0.5400  6 O 1.95-1.97
10 Fe 0.8478 0.3503 0.5400  6 O 1.95-1.97
11 O 0.0053 0.3903 0.5248  1 Fe 1.95
12 O 0.0473 0.1203 0.2533  2 Fe 1.97
13 O 0.1203 0.0473 0.7533  2 Fe 1.97
14 O 0.3213 0.6787 0.0555  2 Fe 1.97
15 O 0.3529 0.4241 0.3244  2 Fe 1.95
16 O 0.3903 0.0053 0.0248  1 Fe 1.95
17 O 0.4241 0.3529 0.8244  2 Fe 1.95
18 O 0.5759 0.6471 0.3244  2 Fe 1.95
19 O 0.6097 0.9947 0.5248  1 Fe 1.95
20 O 0.6471 0.5759 0.8244  2 Fe 1.95
21 O 0.6787 0.3213 0.5555  2 Fe 1.97
22 O 0.8797 0.9527 0.2533  2 Fe 1.97
23 O 0.9527 0.8797 0.7533  2 Fe 1.97
24 O 0.9947 0.6097 0.0248  1 Fe 1.95


Below is an optimized crystal structure of CaFe4O9, with properties calculated at the PBE with a Hubbard U level.

a = 8.3636 Å, b = 8.3636 Å, c = 5.4376 Å
α = 90.00°, β = 90.00°, γ = 90.00°
Closest atoms and distances in Å follow each position.
Atoms (fractional coordinates):
1 Ca 0.2500 0.2500 0.1675  8 O 2.37-2.52
2 Ca 0.7500 0.7500 0.8325  8 O 2.37-2.52
3 Fe 0.0355 0.8416 0.3764  4 O 1.80-1.99
4 Fe 0.1584 0.5355 0.6236  4 O 1.80-1.99
5 Fe 0.3416 0.9645 0.6236  4 O 1.80-1.99
6 Fe 0.4645 0.6584 0.3764  4 O 1.80-1.99
7 Fe 0.5355 0.3416 0.6236  4 O 1.80-1.99
8 Fe 0.6584 0.0355 0.3764  4 O 1.80-1.99
9 Fe 0.8416 0.4645 0.3764  4 O 1.80-1.99
10 Fe 0.9645 0.1584 0.6236  4 O 1.80-1.99
11 O 0.0195 0.1739 0.9436  1 Fe 1.80
12 O 0.0438 0.3545 0.4646  3 Fe 1.97-1.99
13 O 0.1455 0.0438 0.4646  3 Fe 1.97-1.99
14 O 0.1739 0.4805 0.9436  1 Fe 1.80
15 O 0.2500 0.7500 0.5000  4 Fe 2.06
16 O 0.3261 0.0195 0.9436  1 Fe 1.80
17 O 0.3545 0.4562 0.4646  3 Fe 1.97-1.99
18 O 0.4562 0.1455 0.4646  3 Fe 1.97-1.99
19 O 0.4805 0.3261 0.9436  1 Fe 1.80
20 O 0.5195 0.6739 0.0564  1 Fe 1.80
21 O 0.5438 0.8545 0.5354  3 Fe 1.97-1.99
22 O 0.6455 0.5438 0.5354  3 Fe 1.97-1.99
23 O 0.6739 0.9805 0.0564  1 Fe 1.80
24 O 0.7500 0.2500 0.5000  4 Fe 2.06
25 O 0.8261 0.5195 0.0564  1 Fe 1.80
26 O 0.8545 0.9562 0.5354  3 Fe 1.97-1.99
27 O 0.9562 0.6455 0.5354  3 Fe 1.97-1.99
28 O 0.9805 0.8261 0.0564  1 Fe 1.80


Below is an optimized crystal structure of CaFeO3, with properties calculated at the PBE with a Hubbard U level.

a = 5.4340 Å, b = 6.6551 Å, c = 6.6551 Å
α = 70.84°, β = 90.00°, γ = 90.00°
Closest atoms and distances in Å follow each position.
Atoms (fractional coordinates):
1 Ca 0.0000 0.5028 0.0028  12 O 2.67-2.76
2 Ca 0.5000 0.7471 0.2472  12 O 2.67-2.76
3 Ca 0.0000 0.0028 0.5028  12 O 2.67-2.76
4 Ca 0.5000 0.2472 0.7471  12 O 2.67-2.76
5 O 0.7501 0.8751 0.8751  2 Fe 1.92
6 O 0.7501 0.6250 0.6250  2 Fe 1.92
7 O 0.2499 0.3750 0.3750  2 Fe 1.92
8 O 0.0000 0.2486 0.7486  2 Fe 1.93
9 O 0.5000 0.5014 0.0014  2 Fe 1.93
10 O 0.2499 0.1250 0.1250  2 Fe 1.92
11 O 0.5000 0.0014 0.5014  2 Fe 1.93
12 O 0.7501 0.1250 0.1250  2 Fe 1.92
13 O 0.2499 0.6250 0.6250  2 Fe 1.92
14 O 0.7501 0.3750 0.3750  2 Fe 1.92
15 O 0.2499 0.8750 0.8751  2 Fe 1.92
16 O 0.0000 0.7486 0.2486  2 Fe 1.93
17 Fe 0.0000 0.0003 0.0003  6 O 1.92-1.93
18 Fe 0.5000 0.7497 0.7497  6 O 1.92-1.93
19 Fe 0.5000 0.2497 0.2497  6 O 1.92-1.93
20 Fe 0.0000 0.5003 0.5003  6 O 1.92-1.93


Number 1: DFT formation energy -2.06 eV per atom. Number 2: DFT formation energy -2.07 eV per atom. Number 3: DFT formation energy -2.41 eV per atom. Number 4: DFT formation energy -2.41 eV per atom. Number 5: DFT formation energy -1.44 eV per atom. Number 6: DFT formation energy -2.18 eV per atom.